#w
The following is a PBE with a Hubbard U calculation of an optimized crystal structure of ZnMo2O4, from the Materials Project database.

Lattice parameters (Å, degrees): 6.329 6.329 6.329 60.89 60.89 60.89
Positions (direct):
O  0.132  0.132  0.132
O  0.616  0.153  0.616
O  0.616  0.616  0.153
O  0.153  0.616  0.616
O  0.132  0.132  0.602
O  0.613  0.613  0.613
O  0.132  0.602  0.132
O  0.602  0.132  0.132
Mo  0.375  0.375  0.877
Mo  0.375  0.877  0.375
Mo  0.877  0.375  0.375
Mo  0.762  0.762  0.762
Zn  0.371  0.371  0.371
Zn  0.996  0.996  0.996

Space-group type   R3m

***

#x
The following is a PBE with a Hubbard U calculation of an optimized crystal structure of ZnMo2O4, from the Materials Project database.

Lattice parameters (Å, degrees): 3.161 9.659 11.003 90.00 90.00 90.00
Positions (direct):
Mo  0.750  0.453  0.877
Mo  0.250  0.547  0.123
Mo  0.750  0.953  0.623
Mo  0.250  0.106  0.902
Mo  0.250  0.606  0.598
Mo  0.750  0.894  0.098
Mo  0.250  0.047  0.377
Mo  0.750  0.394  0.402
Zn  0.250  0.247  0.152
Zn  0.750  0.253  0.652
Zn  0.250  0.747  0.348
Zn  0.750  0.753  0.848
O  0.250  0.417  0.279
O  0.750  0.686  0.176
O  0.250  0.884  0.952
O  0.750  0.583  0.721
O  0.250  0.314  0.824
O  0.250  0.384  0.548
O  0.750  0.186  0.324
O  0.250  0.601  0.931
O  0.750  0.116  0.048
O  0.750  0.399  0.069
O  0.250  0.101  0.569
O  0.750  0.083  0.779
O  0.750  0.616  0.452
O  0.250  0.814  0.676
O  0.750  0.899  0.431
O  0.250  0.917  0.221

Space-group type   Pnma

***

Which of them is most stable, and which least? Most stable: #w; least stable: #x.

***

#w
The following is a PBE with a Hubbard U calculation of an optimized crystal structure of ZnMo2O4, from the Materials Project database.

Lattice parameters (Å, degrees): 3.159 10.302 10.444 90.00 90.00 90.00
Positions (direct):
O  0.801  0.481  0.888
O  0.199  0.519  0.388
O  0.199  0.519  0.112
O  0.801  0.019  0.112
O  0.801  0.481  0.612
O  0.424  0.775  0.250
O  0.199  0.981  0.888
O  0.199  0.981  0.612
O  0.576  0.225  0.750
O  0.801  0.019  0.388
O  0.194  0.250  0.500
O  0.194  0.250  0.000
O  0.806  0.750  0.500
O  0.424  0.725  0.750
O  0.806  0.750  0.000
O  0.576  0.275  0.250
Mo  0.300  0.882  0.073
Mo  0.300  0.882  0.427
Mo  0.300  0.618  0.927
Mo  0.700  0.382  0.427
Mo  0.700  0.382  0.073
Mo  0.300  0.618  0.573
Mo  0.700  0.118  0.573
Mo  0.700  0.118  0.927
Zn  0.047  0.146  0.250
Zn  0.047  0.354  0.750
Zn  0.953  0.646  0.250
Zn  0.953  0.854  0.750

Space-group type   Pbcm

***

#x
The following is a PBE with a Hubbard U calculation of an optimized crystal structure of ZnMo2O4, from the Materials Project database.

Lattice parameters (Å, degrees): 6.410 6.410 20.716 85.76 85.76 58.05
Positions (direct):
O  0.579  0.579  0.307
O  0.951  0.437  0.683
O  0.310  0.804  0.068
O  0.282  0.788  0.568
O  0.788  0.282  0.568
O  0.162  0.162  0.444
O  0.964  0.466  0.181
O  0.207  0.207  0.931
O  0.465  0.465  0.182
O  0.212  0.696  0.934
O  0.931  0.931  0.193
O  0.343  0.343  0.058
O  0.079  0.079  0.807
O  0.197  0.700  0.431
O  0.822  0.822  0.556
O  0.814  0.814  0.067
O  0.419  0.419  0.689
O  0.287  0.287  0.569
O  0.048  0.539  0.818
O  0.680  0.680  0.938
O  0.437  0.951  0.683
O  0.538  0.041  0.318
O  0.945  0.945  0.681
O  0.041  0.538  0.318
O  0.696  0.212  0.934
O  0.700  0.197  0.431
O  0.552  0.552  0.817
O  0.041  0.041  0.319
O  0.539  0.048  0.818
O  0.804  0.310  0.068
O  0.466  0.964  0.181
O  0.696  0.696  0.432
Zn  0.854  0.854  0.968
Zn  0.594  0.594  0.718
Zn  0.115  0.115  0.626
Zn  0.379  0.379  0.876
Zn  0.755  0.755  0.251
Zn  0.641  0.641  0.126
Zn  0.867  0.867  0.377
Zn  0.993  0.993  0.500
Mo  0.248  0.248  0.748
Mo  0.617  0.116  0.625
Mo  0.116  0.617  0.625
Mo  0.341  0.341  0.469
Mo  0.108  0.108  0.221
Mo  0.164  0.164  0.031
Mo  0.133  0.639  0.126
Mo  0.644  0.644  0.534
Mo  0.510  0.510  0.999
Mo  0.639  0.133  0.126
Mo  0.369  0.870  0.376
Mo  0.870  0.369  0.376
Mo  0.875  0.376  0.875
Mo  0.900  0.900  0.781
Mo  0.401  0.401  0.282
Mo  0.376  0.875  0.875

Space-group type   Cm

***

Which of them is most stable, and which least? Most stable: #w; least stable: #x.